1.
This record from the Materials Project describes a relaxed structure of Ba2SiTe4. The functional is r²SCAN.

Calculated values
Calculated volume, Å³ per cell: 539.9
Calculated total energy, eV per atom: -24.59
Size of the total moment, μB/f.u.: 0.00
Formation energy from the elements, eV/f.u.: -8.71
Space-group type: P2_1/m, No. 11

Geometry as extended XYZ:
```
14
Lattice="-6.977 3.035 -0.172 -1.773 -4.420 -6.056 -0.157 -7.827 5.759" Properties=species:S:1:pos:R:3 pbc="T T T"
Ba -2.382 -0.846 -1.135
Ba -6.525 -8.366 0.666
Ba -2.065 -4.747 1.619
Ba -6.842 -4.466 -2.088
Si -6.070 -4.244 2.425
Si -2.837 -4.969 -2.894
Te -1.925 -10.398 -1.601
Te -7.852 -0.982 -1.838
Te -4.026 -6.580 -1.370
Te -4.881 -2.633 0.900
Te -4.183 -3.077 -3.880
Te -4.725 -6.135 3.411
Te -1.056 -8.231 1.368
Te -6.982 1.186 1.132
```



2.
This record from the Materials Project describes a relaxed structure of Ca2PdPt. The functional is r²SCAN.

Calculated values
Calculated volume, Å³ per cell: 84.5
Calculated total energy, eV per atom: -22.94
Size of the total moment, μB/f.u.: 0.00
Formation energy from the elements, eV/f.u.: -3.25
Space-group type: Fm-3m, No. 225

Geometry as extended XYZ:
```
4
Lattice="0.000 3.483 3.483 3.483 0.000 3.483 3.483 3.483 0.000" Properties=species:S:1:pos:R:3 pbc="T T T"
Ca 5.224 5.224 5.224
Ca 1.741 1.741 1.741
Pd 3.483 3.483 3.483
Pt 0.000 0.000 0.000
```